Record 1
This record from the Materials Project database describes crystalline Li2Fe4Si4O13 at its relaxed geometry. The functional is PBE+U.

a b c (Å): 6.922 7.920 10.223
angles (deg): 110.32 90.38 100.87
Fractional positions:
1 Li 0.778 0.600 0.120
2 Li 0.750 0.580 0.584
3 Li 0.222 0.400 0.880
4 Li 0.250 0.420 0.416
5 Si 0.924 0.091 0.278
6 Si 0.717 0.399 0.294
7 Si 0.076 0.909 0.722
8 Si 0.626 0.901 0.722
9 Si 0.374 0.099 0.278
10 Si 0.283 0.601 0.706
11 Si 0.269 0.582 0.176
12 Si 0.731 0.418 0.824
13 O 0.738 0.384 0.654
14 O 0.396 0.999 0.114
15 O 0.502 0.316 0.339
16 O 0.907 0.309 0.846
17 O 0.129 0.027 0.618
18 O 0.217 0.365 0.068
19 O 0.603 0.000 0.610
20 O 0.229 0.381 0.611
21 O 0.863 0.292 0.350
22 O 0.871 0.973 0.382
23 O 0.262 0.616 0.346
24 O 0.138 0.005 0.888
25 O 0.161 0.161 0.298
26 O 0.093 0.691 0.154
27 O 0.397 0.000 0.390
28 O 0.839 0.839 0.702
29 O 0.500 0.675 0.161
30 O 0.498 0.684 0.661
31 O 0.771 0.619 0.389
32 O 0.283 0.650 0.874
33 O 0.783 0.635 0.932
34 O 0.717 0.350 0.126
35 O 0.604 0.001 0.886
36 O 0.862 0.995 0.112
37 O 0.137 0.708 0.650
38 O 0.500 0.325 0.839
39 Fe 0.082 0.810 0.001
40 Fe 0.424 0.191 0.614
41 Fe 0.078 0.805 0.393
42 Fe 0.428 0.193 0.995
43 Fe 0.922 0.195 0.607
44 Fe 0.918 0.190 0.999
45 Fe 0.576 0.809 0.386
46 Fe 0.572 0.807 0.005

Calculated values
E_tot	-7.147	eV/atom
space group	P-1 (2)

=====

Record 2
This record from the Materials Project database describes crystalline Li3FeB2O6 at its relaxed geometry. The functional is PBE+U.

a b c (Å): 5.039 6.428 8.047
angles (deg): 73.88 89.33 89.32
Fractional positions:
1 Li 0.677 0.403 0.430
2 Li 0.824 0.536 0.763
3 Li 0.175 0.762 0.888
4 Li 0.173 0.479 0.245
5 Li 0.833 0.240 0.117
6 Li 0.323 0.597 0.576
7 O 0.298 0.020 0.718
8 O 0.702 0.663 0.534
9 O 0.300 0.339 0.472
10 O 0.706 0.982 0.288
11 O 0.782 0.778 0.914
12 O 0.114 0.819 0.409
13 O 0.889 0.177 0.594
14 O 0.606 0.273 0.900
15 O 0.210 0.497 0.817
16 O 0.797 0.505 0.188
17 O 0.401 0.727 0.104
18 O 0.219 0.215 0.085
19 B 0.167 0.182 0.589
20 B 0.339 0.332 0.929
21 B 0.666 0.667 0.074
22 B 0.836 0.819 0.416
23 Fe 0.653 0.054 0.775
24 Fe 0.352 0.946 0.229

Calculated values
offset from the most stable computed form	0.152	eV/f.u.
E_tot	-6.699	eV/atom
space group	P1 (1)

=====

Record 3
This record from the Materials Project database describes crystalline Na3FeSiBO7 at its relaxed geometry. The functional is PBE+U.

a b c (Å): 6.695 5.277 8.962
angles (deg): 88.07 90.00 90.00
Fractional positions:
1 Fe 0.750 0.788 0.343
2 Fe 0.250 0.212 0.657
3 Si 0.750 0.279 0.577
4 Si 0.250 0.721 0.423
5 O 0.750 0.121 0.422
6 O 0.250 0.312 0.082
7 O 0.250 0.033 0.873
8 O 0.750 0.967 0.127
9 O 0.750 0.586 0.529
10 O 0.555 0.215 0.683
11 O 0.250 0.414 0.471
12 O 0.445 0.785 0.317
13 O 0.055 0.785 0.317
14 O 0.945 0.215 0.683
15 O 0.250 0.465 0.826
16 O 0.750 0.535 0.174
17 O 0.750 0.688 0.918
18 O 0.250 0.879 0.578
19 Na 0.009 0.259 0.267
20 Na 0.491 0.259 0.267
21 Na 0.991 0.741 0.733
22 Na 0.250 0.767 0.089
23 Na 0.750 0.233 0.911
24 Na 0.509 0.741 0.733
25 B 0.250 0.270 0.935
26 B 0.750 0.730 0.065

Calculated values
E_tot	-6.364	eV/atom
space group	P2_1/m (11)

=====

Record 4
This record from the Materials Project database describes crystalline MgFe8O8F8 at its relaxed geometry. The functional is PBE+U.

a b c (Å): 9.856 9.757 3.070
angles (deg): 88.93 90.39 90.99
Fractional positions:
1 Mg 0.989 0.754 0.043
2 F 0.816 0.855 0.021
3 F 0.595 0.895 0.517
4 F 0.672 0.156 0.004
5 F 0.348 0.848 0.036
6 F 0.410 0.574 0.500
7 F 0.350 0.345 0.993
8 F 0.906 0.118 0.500
9 F 0.406 0.113 0.506
10 O 0.596 0.390 0.507
11 O 0.905 0.636 0.544
12 O 0.148 0.640 0.991
13 O 0.640 0.642 0.020
14 O 0.164 0.151 0.995
15 O 0.853 0.362 0.991
16 O 0.054 0.903 0.511
17 O 0.102 0.391 0.465
18 Fe 0.018 0.029 0.002
19 Fe 0.521 0.484 0.002
20 Fe 0.018 0.480 0.946
21 Fe 0.760 0.283 0.495
22 Fe 0.727 0.721 0.520
23 Fe 0.255 0.728 0.514
24 Fe 0.237 0.253 0.491
25 Fe 0.503 0.005 0.012

Calculated values
offset from the most stable computed form	0.284	eV/f.u.
E_tot	-5.999	eV/atom
space group	P1 (1)